# MgMnZn2WO6 PBE with a Hubbard U optimized geometry
# - Total magnetic moment: 7.00 μB per formula unit
# - Final energy: -67.91 eV for the cell shown
data_MgMnZn2WO6
_symmetry_space_group_name_H-M 'P 1'
_symmetry_Int_Tables_number 1
_symmetry_space_group_name_Hall 'P 1'
_cell_length_a 5.321
_cell_length_b 5.322
_cell_length_c 5.998
_cell_angle_alpha 63.92
_cell_angle_beta 64.61
_cell_angle_gamma 60.38
loop_
_atom_site_label
_atom_site_type_symbol
_atom_site_fract_x
_atom_site_fract_y
_atom_site_fract_z
Mg1 Mg 0.000 0.000 0.000
Mn1 Mn 0.814 0.812 0.567
Zn1 Zn 0.163 0.176 0.495
Zn2 Zn 0.588 0.584 0.250
W1 W 0.353 0.357 0.948
O1 O 0.109 0.388 0.747
O2 O 0.243 0.966 0.217
O3 O 0.398 0.757 0.746
O4 O 0.585 0.235 0.219
O5 O 0.772 0.102 0.739
O6 O 0.962 0.588 0.226

***

# MgMnZn2WO6 PBE with a Hubbard U optimized geometry
# - Total magnetic moment: 7.00 μB per formula unit
# - Final energy: -67.97 eV for the cell shown
data_MgMnZn2WO6
_symmetry_space_group_name_H-M 'P 1'
_symmetry_Int_Tables_number 1
_symmetry_space_group_name_Hall 'P 1'
_cell_length_a 5.313
_cell_length_b 5.458
_cell_length_c 5.561
_cell_angle_alpha 101.52
_cell_angle_beta 105.18
_cell_angle_gamma 114.86
loop_
_atom_site_label
_atom_site_type_symbol
_atom_site_fract_x
_atom_site_fract_y
_atom_site_fract_z
Mg1 Mg 0.000 0.000 0.000
Mn1 Mn 0.647 0.378 0.979
Zn1 Zn 0.148 0.825 0.538
Zn2 Zn 0.503 0.555 0.442
W1 W 0.823 0.188 0.488
O1 O 0.053 0.402 0.280
O2 O 0.185 0.204 0.752
O3 O 0.443 0.159 0.240
O4 O 0.594 0.961 0.697
O5 O 0.794 0.803 0.247
O6 O 0.867 0.588 0.729